Record 1
The following is a PBE calculation of a geometry-optimized NaH15O8 structure, from the Materials Project database.

Geometry as extended XYZ:
```
96
Lattice="7.470 0.000 0.000 0.000 16.989 0.000 -0.294 0.000 7.074" Properties=species:S:1:pos:R:3 pbc="T T T"
Na 0.285 4.128 0.151
Na 0.138 4.367 3.688
Na 7.038 12.623 3.386
Na 6.891 12.862 6.923
H 0.254 1.796 1.754
H 0.107 6.698 5.291
H 0.429 10.149 6.780
H 0.576 15.335 3.243
H 0.729 1.578 4.030
H 0.876 6.916 0.493
H 1.001 1.150 0.526
H 0.854 7.345 4.063
H 1.049 9.547 3.384
H 0.902 15.937 6.921
H 1.482 11.572 5.515
H 1.630 13.913 1.978
H 1.971 12.407 1.636
H 1.824 13.077 5.173
H 2.007 9.346 4.624
H 2.155 16.139 1.087
H 2.039 3.158 5.444
H 2.186 5.336 1.907
H 2.074 8.972 6.661
H 2.222 16.513 3.124
H 2.269 0.767 5.793
H 2.416 7.728 2.256
H 2.549 3.796 2.030
H 2.402 4.699 5.567
H 2.931 10.634 0.640
H 2.784 14.850 4.177
H 3.009 10.517 2.220
H 2.862 14.967 5.757
H 3.313 1.374 4.746
H 3.461 7.121 1.209
H 3.715 9.869 5.866
H 3.863 15.615 2.328
H 4.314 2.022 1.317
H 4.167 6.473 4.854
H 4.392 2.139 2.897
H 4.245 6.356 6.434
H 4.774 12.290 1.507
H 4.627 13.194 5.044
H 4.760 9.261 4.818
H 4.907 16.223 1.281
H 4.955 0.477 3.950
H 5.102 8.018 0.413
H 4.990 11.653 5.167
H 5.137 13.831 1.630
H 5.021 0.851 5.987
H 5.169 7.644 2.450
H 5.352 3.913 1.901
H 5.205 4.582 5.438
H 5.546 3.077 5.096
H 5.694 5.418 1.559
H 6.274 1.052 0.153
H 6.127 7.443 3.690
H 6.323 9.645 3.012
H 6.175 15.839 6.549
H 6.300 10.073 6.581
H 6.447 15.411 3.044
H 6.600 1.654 3.831
H 6.747 6.841 0.294
H 7.069 10.291 1.783
H 6.922 15.193 5.320
O 0.012 1.929 3.451
O -0.135 6.566 6.988
O 0.309 1.813 0.756
O 0.162 6.682 4.293
O 1.079 12.420 5.236
O 1.226 13.064 1.699
O 1.652 4.064 5.542
O 1.799 4.431 2.005
O 1.856 9.040 3.676
O 2.003 16.444 0.139
O 2.155 9.868 6.289
O 2.302 15.616 2.752
O 2.329 1.381 5.028
O 2.476 7.114 1.491
O 3.179 11.141 1.485
O 3.032 14.344 5.022
O 4.144 2.646 2.052
O 3.997 5.849 5.589
O 4.700 9.876 5.583
O 4.847 15.608 2.046
O 4.874 1.373 4.323
O 5.021 7.121 0.786
O 5.173 0.545 6.935
O 5.320 7.950 3.398
O 5.377 12.559 5.069
O 5.524 12.926 1.532
O 5.950 3.925 5.375
O 6.097 4.570 1.838
O 7.014 10.308 2.781
O 6.867 15.177 6.319
O 7.311 10.424 0.086
O 7.164 15.061 3.624
```

Calculated values
Formation enthalpy at 0 K ... -1.309 eV per atom

=====

Record 2
The following is a PBE calculation of a geometry-optimized NaH3O2 structure, from the Materials Project database.

Geometry as extended XYZ:
```
48
Lattice="6.164 0.000 0.000 0.000 6.211 0.000 0.000 0.000 11.508" Properties=species:S:1:pos:R:3 pbc="T T T"
Na 0.862 1.231 0.709
Na 0.862 1.875 6.463
Na 2.220 4.336 0.709
Na 2.220 4.981 6.463
Na 3.944 1.231 5.045
Na 3.944 1.875 10.799
Na 5.302 4.336 5.045
Na 5.302 4.981 10.799
H 0.382 3.880 8.158
H 0.382 5.437 2.404
H 0.432 0.639 4.221
H 0.432 2.467 9.975
H 1.365 0.439 9.952
H 1.365 2.667 4.198
H 1.717 3.545 9.952
H 1.717 5.772 4.198
H 2.650 3.744 4.221
H 2.650 5.573 9.975
H 2.700 0.774 8.158
H 2.700 2.332 2.404
H 3.464 3.880 9.104
H 3.464 5.437 3.350
H 3.514 0.639 1.533
H 3.514 2.467 7.287
H 4.447 0.439 7.310
H 4.447 2.667 1.556
H 4.798 3.545 7.310
H 4.798 5.772 1.556
H 5.732 3.744 1.533
H 5.732 5.573 7.287
H 5.782 0.774 9.104
H 5.782 2.332 3.350
O 0.182 4.019 7.203
O 0.182 5.298 1.449
O 0.702 3.446 10.019
O 0.702 5.871 4.265
O 2.380 0.340 10.019
O 2.380 2.766 4.265
O 2.900 0.914 7.203
O 2.900 2.192 1.449
O 3.264 4.019 10.059
O 3.264 5.298 4.305
O 3.783 3.446 7.243
O 3.783 5.871 1.489
O 5.462 0.340 7.243
O 5.462 2.766 1.489
O 5.982 0.914 10.059
O 5.982 2.192 4.305
```

Calculated values
Formation enthalpy at 0 K ... -1.442 eV per atom

=====

Record 3
The following is a PBE calculation of a geometry-optimized NaHO structure, from the Materials Project database.

Geometry as extended XYZ:
```
12
Lattice="3.194 0.000 0.000 0.000 5.933 0.000 0.000 0.000 6.281" Properties=species:S:1:pos:R:3 pbc="T T T"
Na 0.440 1.483 0.000
Na 0.440 1.483 3.141
Na 2.754 4.450 0.000
Na 2.754 4.450 3.141
H 1.431 3.175 1.570
H 1.431 5.724 4.711
H 1.763 0.209 1.570
H 1.763 2.757 4.711
O 0.941 3.297 4.711
O 0.941 5.603 1.570
O 2.253 0.330 4.711
O 2.253 2.636 1.570
```

Calculated values
Formation enthalpy at 0 K ... -1.539 eV per atom

=====

Record 4
The following is a PBE calculation of a geometry-optimized NaHO structure, from the Materials Project database.

Geometry as extended XYZ:
```
12
Lattice="3.432 0.000 0.000 0.000 11.558 0.000 0.000 0.000 3.420" Properties=species:S:1:pos:R:3 pbc="T T T"
Na 0.000 1.882 0.855
Na 0.000 9.675 2.565
Na 1.716 3.896 2.565
Na 1.716 7.661 0.855
H 0.000 5.187 0.855
H 0.000 6.371 2.565
H 1.716 0.592 2.565
H 1.716 10.966 0.855
O 0.000 4.214 0.855
O 0.000 7.343 2.565
O 1.716 1.565 2.565
O 1.716 9.993 0.855
```

Calculated values
Formation enthalpy at 0 K ... -1.551 eV per atom

=====

Record 5
The following is a PBE calculation of a geometry-optimized NaH9O5 structure, from the Materials Project database.

Geometry as extended XYZ:
```
30
Lattice="4.420 0.000 0.000 1.343 7.477 0.000 1.691 3.053 8.577" Properties=species:S:1:pos:R:3 pbc="T T T"
Na 0.000 0.000 0.000
Na 1.942 4.697 2.052
H 2.761 7.860 7.956
H 2.038 7.294 2.890
H 1.113 2.333 1.301
H 2.879 8.363 4.269
H 1.980 1.723 2.555
H 4.376 7.879 7.835
H 3.772 5.401 5.410
H 5.139 10.102 7.833
H 4.035 4.043 6.988
H 3.368 1.586 4.191
H 4.562 6.125 6.644
H 3.867 3.704 3.921
H 3.341 2.284 0.971
H 4.060 2.284 5.478
H 4.337 5.199 3.420
H 4.849 7.318 2.965
H 5.891 5.978 8.300
H 6.384 6.845 6.577
O 3.609 8.300 8.329
O 1.966 2.469 1.825
O 3.432 8.055 3.518
O 3.810 5.506 6.396
O 3.579 4.660 3.685
O 4.316 3.068 7.141
O 4.100 2.204 4.492
O 5.823 7.130 7.328
O 4.193 2.167 0.438
O 5.618 6.866 2.498
```

Calculated values
Formation enthalpy at 0 K ... -1.295 eV per atom
Largest piezoelectric modulus ... 0.46 C/m²
Distance to the lowest polymorph of the same formula ... 52.3 meV per atom

=====

Record 6
The following is a PBE calculation of a geometry-optimized Na2H16O9 structure, from the Materials Project database.

Geometry as extended XYZ:
```
108
Lattice="6.527 0.000 0.000 0.000 12.438 0.000 -2.790 0.000 11.466" Properties=species:S:1:pos:R:3 pbc="T T T"
Na 0.246 2.280 1.151
Na -1.149 3.938 6.884
Na 0.140 8.814 1.916
Na -1.255 9.842 7.649
Na 4.992 2.595 3.817
Na 3.597 3.624 9.550
Na 4.886 8.499 4.582
Na 3.491 10.157 10.315
H -2.515 7.446 10.877
H -1.120 11.211 5.144
H -1.754 6.225 9.113
H -0.359 12.431 3.380
H -1.255 7.013 7.178
H 0.140 11.644 1.445
H -1.135 0.082 9.055
H -0.299 0.962 5.616
H -1.694 5.257 11.349
H 0.259 6.137 3.322
H -0.669 8.284 10.147
H 0.726 10.373 4.414
H 0.186 7.459 6.761
H 1.581 11.197 1.028
H -0.316 2.281 9.251
H 1.079 3.938 3.518
H 2.083 7.141 0.677
H 0.688 11.516 6.410
H 1.267 0.082 4.624
H -0.128 6.137 10.357
H 1.512 2.434 3.728
H 0.117 3.785 9.461
H 1.424 8.922 4.532
H 0.029 9.734 10.265
H 2.032 6.865 2.291
H 0.637 11.791 8.024
H -0.080 1.262 11.156
H 1.315 4.957 5.423
H 2.756 0.682 1.167
H 1.362 5.537 6.900
H 1.028 1.068 8.790
H 2.423 5.151 3.057
H 1.314 7.287 8.409
H 2.709 11.370 2.676
H 2.375 6.900 4.566
H 0.980 11.756 10.299
H 2.422 7.481 6.043
H 3.817 11.175 0.310
H 3.100 0.646 3.442
H 1.705 5.572 9.175
H 3.708 2.703 1.201
H 2.313 3.515 6.934
H 3.620 8.653 2.005
H 2.225 10.004 7.738
H 3.865 6.301 1.109
H 2.470 12.356 6.842
H 3.049 0.922 5.056
H 1.654 5.297 10.789
H 2.658 8.500 7.948
H 4.053 10.157 2.215
H 2.156 1.241 10.438
H 3.551 4.978 4.705
H 3.011 2.065 7.052
H 4.405 4.154 1.319
H 3.478 6.301 8.144
H 5.431 7.180 0.117
H 4.036 11.476 5.850
H 4.872 12.356 2.411
H 3.597 0.794 10.021
H 4.992 5.425 4.288
H 4.096 0.006 8.086
H 5.491 6.212 2.353
H 4.857 1.227 6.321
H 6.252 4.992 0.589
O -0.668 6.523 3.234
O -2.062 12.134 8.967
O -0.880 1.700 5.973
O 0.514 4.519 0.240
O -0.758 7.713 6.665
O 0.637 10.944 0.932
O 0.775 3.001 3.385
O -0.620 3.218 9.118
O -0.941 6.614 10.621
O 0.454 12.043 4.888
O -0.719 9.234 9.844
O 0.676 9.423 4.111
O 2.492 1.493 0.628
O 1.097 4.726 6.361
O 2.254 7.542 1.601
O 0.859 11.114 7.334
O 0.430 0.639 9.429
O 1.825 5.580 3.696
O 1.912 6.858 7.770
O 3.307 11.799 2.037
O 2.878 1.323 4.132
O 1.483 4.896 9.865
O 2.640 7.712 5.105
O 1.245 10.944 10.838
O 3.061 3.015 7.355
O 4.456 3.204 1.622
O 3.283 0.395 6.578
O 4.677 5.824 0.845
O 4.357 9.220 2.348
O 2.962 9.437 8.081
O 3.100 1.494 10.534
O 4.495 4.725 4.801
O 3.223 7.919 11.226
O 4.617 10.737 5.493
O 5.799 0.304 2.499
O 4.405 5.915 8.232
```

Calculated values
Formation enthalpy at 0 K ... -1.346 eV per atom

=====

Record 7
The following is a PBE calculation of a geometry-optimized NaHO structure, from the Materials Project database.

Geometry as extended XYZ:
```
6
Lattice="3.422 0.000 0.000 0.000 3.439 0.000 -1.366 0.000 5.774" Properties=species:S:1:pos:R:3 pbc="T T T"
Na 0.177 0.860 1.875
Na 1.879 2.579 3.898
H 0.255 0.860 5.183
H 1.801 2.579 0.591
O 0.140 0.860 4.217
O 1.916 2.579 1.557
```

Calculated values
Formation enthalpy at 0 K ... -1.550 eV per atom

=====

Record 8
The following is a PBE calculation of a geometry-optimized NaH9O5 structure, from the Materials Project database.

Geometry as extended XYZ:
```
30
Lattice="4.365 0.000 0.000 2.063 7.834 0.000 2.179 2.553 8.486" Properties=species:S:1:pos:R:3 pbc="T T T"
Na 0.000 0.000 0.000
Na 2.352 4.523 3.223
H 2.266 5.857 1.077
H 2.905 7.129 2.686
H 1.480 2.377 1.557
H 3.961 6.222 6.422
H 2.389 1.675 2.712
H 5.215 7.841 8.194
H 4.425 3.883 7.165
H 4.628 5.246 5.364
H 5.480 8.912 4.340
H 4.618 5.277 3.276
H 4.476 2.469 6.543
H 5.326 7.700 3.354
H 3.595 2.405 1.187
H 4.693 3.028 4.335
H 6.122 6.629 6.820
H 6.621 5.538 8.466
H 7.336 7.426 7.700
H 5.467 1.616 4.557
O 2.174 5.322 0.190
O 2.319 2.472 2.094
O 4.778 8.374 3.868
O 4.674 5.552 6.365
O 4.382 2.924 7.424
O 4.507 4.615 3.985
O 4.678 2.137 4.819
O 6.604 7.474 7.022
O 4.448 2.272 0.638
O 6.445 6.760 2.312
```

Calculated values
Formation enthalpy at 0 K ... -1.298 eV per atom
Largest piezoelectric modulus ... 1.05 C/m²
Distance to the lowest polymorph of the same formula ... 49.7 meV per atom

=====

What is the formula in the sixth record? Na2H16O9